Record 1
Below is a geometry-optimized Mn2As2O7 structure, with properties calculated at the GGA+U level.

Lattice parameters (Å, degrees): 5.630 5.630 9.806 97.73 97.73 105.07
Sites, in units of the cell vectors:
O: 0.397 0.397 0.111
O: 0.394 0.075 0.856
O: 0.606 0.925 0.644
O: 0.000 0.000 0.500
O: 0.925 0.606 0.644
O: 0.394 0.075 0.356
O: 0.925 0.606 0.144
O: 0.000 0.000 0.000
O: 0.603 0.603 0.389
O: 0.075 0.394 0.356
O: 0.606 0.925 0.144
O: 0.603 0.603 0.889
O: 0.397 0.397 0.611
O: 0.075 0.394 0.856
Mn: 0.308 0.692 0.750
Mn: 0.692 0.308 0.750
Mn: 0.692 0.308 0.250
Mn: 0.308 0.692 0.250
As: 0.232 0.232 0.952
As: 0.768 0.768 0.548
As: 0.768 0.768 0.048
As: 0.232 0.232 0.452

Computed properties:
**Energy relative to the lowest polymorph listed for this composition**: 0.02 eV/f.u.
**Formation enthalpy at 0 K**: -1.9014 eV/atom
**Total energy**: -150.10 eV/cell
**MP2020-corrected energy**: -166.39 eV/cell

***

Record 2
Below is a geometry-optimized RbMn6As7O24 structure, with properties calculated at the GGA+U level.

Lattice parameters (Å, degrees): 5.635 28.225 6.927 90.00 107.72 90.00
Sites, in units of the cell vectors:
Rb: 0.198 0.250 0.102
Rb: 0.802 0.750 0.898
Mn: 0.286 0.098 0.401
Mn: 0.286 0.402 0.401
Mn: 0.317 0.543 0.820
Mn: 0.317 0.957 0.820
Mn: 0.394 0.684 0.252
Mn: 0.394 0.816 0.252
Mn: 0.606 0.184 0.748
Mn: 0.606 0.316 0.748
Mn: 0.683 0.043 0.180
Mn: 0.683 0.457 0.180
Mn: 0.714 0.598 0.599
Mn: 0.714 0.902 0.599
As: 0.025 0.250 0.567
As: 0.184 0.113 0.873
As: 0.184 0.387 0.873
As: 0.226 0.523 0.302
As: 0.226 0.977 0.302
As: 0.274 0.663 0.726
As: 0.274 0.837 0.726
As: 0.726 0.163 0.274
As: 0.726 0.337 0.274
As: 0.774 0.023 0.698
As: 0.774 0.477 0.698
As: 0.816 0.613 0.127
As: 0.816 0.887 0.127
As: 0.975 0.750 0.433
O: 0.004 0.701 0.595
O: 0.004 0.799 0.595
O: 0.022 0.656 0.130
O: 0.022 0.844 0.130
O: 0.052 0.056 0.798
O: 0.052 0.444 0.798
O: 0.082 0.029 0.325
O: 0.082 0.471 0.325
O: 0.108 0.613 0.731
O: 0.108 0.887 0.731
O: 0.193 0.750 0.309
O: 0.330 0.250 0.704
O: 0.352 0.124 0.708
O: 0.352 0.376 0.708
O: 0.379 0.099 0.110
O: 0.379 0.401 0.110
O: 0.388 0.520 0.130
O: 0.388 0.980 0.130
O: 0.394 0.548 0.527
O: 0.394 0.952 0.527
O: 0.401 0.693 0.945
O: 0.401 0.807 0.945
O: 0.457 0.663 0.569
O: 0.457 0.837 0.569
O: 0.543 0.163 0.431
O: 0.543 0.337 0.431
O: 0.599 0.193 0.055
O: 0.599 0.307 0.055
O: 0.606 0.048 0.473
O: 0.606 0.452 0.473
O: 0.612 0.020 0.870
O: 0.612 0.480 0.870
O: 0.621 0.599 0.890
O: 0.621 0.901 0.890
O: 0.648 0.624 0.292
O: 0.648 0.876 0.292
O: 0.670 0.750 0.296
O: 0.807 0.250 0.691
O: 0.892 0.113 0.269
O: 0.892 0.387 0.269
O: 0.918 0.529 0.675
O: 0.918 0.971 0.675
O: 0.948 0.556 0.202
O: 0.948 0.944 0.202
O: 0.978 0.156 0.870
O: 0.978 0.344 0.870
O: 0.996 0.201 0.405
O: 0.996 0.299 0.405

Computed properties:
**Total magnetic moment**: 60.0 μB per cell
**Symmetry**: P2_1/m
**Formation enthalpy at 0 K**: -1.9138 eV/atom
**Total energy**: -507.09 eV/cell
**MP2020-corrected energy**: -560.08 eV/cell

***

Record 3
Below is a geometry-optimized RbMn4As3O12 structure, with properties calculated at the GGA+U level.

Lattice parameters (Å, degrees): 10.336 17.687 6.659 90.00 90.00 90.00
Sites, in units of the cell vectors:
Rb: 0.200 0.035 0.000
Rb: 0.300 0.535 0.500
Rb: 0.700 0.465 0.500
Rb: 0.800 0.965 0.000
Mn: 0.022 0.144 0.500
Mn: 0.035 0.592 0.000
Mn: 0.246 0.798 0.248
Mn: 0.246 0.798 0.752
Mn: 0.254 0.298 0.252
Mn: 0.254 0.298 0.748
Mn: 0.465 0.092 0.500
Mn: 0.478 0.644 0.000
Mn: 0.522 0.356 0.000
Mn: 0.535 0.908 0.500
Mn: 0.746 0.702 0.252
Mn: 0.746 0.702 0.748
Mn: 0.754 0.202 0.248
Mn: 0.754 0.202 0.752
Mn: 0.965 0.408 0.000
Mn: 0.978 0.856 0.500
As: 0.041 0.666 0.500
As: 0.045 0.222 0.000
As: 0.206 0.963 0.500
As: 0.294 0.463 0.000
As: 0.455 0.722 0.500
As: 0.459 0.166 0.000
As: 0.541 0.834 0.000
As: 0.545 0.278 0.500
As: 0.706 0.537 0.000
As: 0.794 0.037 0.500
As: 0.955 0.778 0.000
As: 0.959 0.334 0.500
O: 0.092 0.619 0.292
O: 0.092 0.619 0.708
O: 0.108 0.183 0.215
O: 0.108 0.183 0.785
O: 0.113 0.313 0.000
O: 0.114 0.757 0.500
O: 0.121 0.771 0.000
O: 0.126 0.322 0.500
O: 0.129 0.480 0.000
O: 0.136 0.049 0.500
O: 0.157 0.908 0.298
O: 0.157 0.908 0.702
O: 0.343 0.408 0.202
O: 0.343 0.408 0.798
O: 0.364 0.549 0.000
O: 0.371 0.980 0.500
O: 0.374 0.822 0.000
O: 0.379 0.271 0.500
O: 0.386 0.257 0.000
O: 0.387 0.813 0.500
O: 0.392 0.683 0.285
O: 0.392 0.683 0.715
O: 0.408 0.119 0.208
O: 0.408 0.119 0.792
O: 0.592 0.881 0.208
O: 0.592 0.881 0.792
O: 0.608 0.317 0.285
O: 0.608 0.317 0.715
O: 0.613 0.187 0.500
O: 0.614 0.743 0.000
O: 0.621 0.729 0.500
O: 0.626 0.178 0.000
O: 0.629 0.020 0.500
O: 0.636 0.451 0.000
O: 0.657 0.592 0.202
O: 0.657 0.592 0.798
O: 0.843 0.092 0.298
O: 0.843 0.092 0.702
O: 0.864 0.951 0.500
O: 0.871 0.520 0.000
O: 0.874 0.678 0.500
O: 0.879 0.229 0.000
O: 0.886 0.243 0.500
O: 0.887 0.687 0.000
O: 0.892 0.817 0.215
O: 0.892 0.817 0.785
O: 0.908 0.381 0.292
O: 0.908 0.381 0.708

Computed properties:
**Symmetry**: Pnnm
**Formation enthalpy at 0 K**: -1.9826 eV/atom
**Total energy**: -542.87 eV/cell
**MP2020-corrected energy**: -602.53 eV/cell